Here is a relaxed structure of Li2Nb2W2O13 from the Materials Project. Energies are from GGA+U.

Calculated values
Calculated formation energy ... -2.3238 eV per atom
M_tot ... 0.104 μB per atom
ρ ... 4.38 g/cm³

abc: 7.405 7.471 10.625
angles: 90.00 90.00 90.00
Space group Imm2 (No. 44)
One atom of each set of equivalent atoms:
Li: 0.231 0.000 0.000 x4
Nb: 0.000 0.242 0.804 x4
W: 0.246 0.500 0.055 x4
O: 0.000 0.000 0.510 x2
O: 0.000 0.000 0.895 x2
O: 0.000 0.500 0.119 x2
O: 0.000 0.500 0.548 x2
O: 0.000 0.500 0.756 x2
O: 0.187 0.177 0.691 x8
O: 0.191 0.310 0.946 x8